Entry from the Materials Project: an optimized crystal structure of CeSm2S4 (PBE-GGA).

Cell: 8.522 8.522 8.546 Å, 90.00 90.00 90.00°
Space group I-42d (No. 122)
Symmetry-distinct sites (fractional):
1 Ce 0.000 0.000 0.000 [4 per cell]
2 Sm 0.122 0.250 0.625 [8 per cell]
3 S 0.075 0.175 0.302 [16 per cell]

Values from the calculation:
calculated volume: 621 Å³/cell
total energy after the MP2020 corrections: -192.126 eV/cell
crystal system: tetragonal
calculated density: 6.1 g cm⁻³
energy relative to the elements: -2302 meV per atom

Entry from the Materials Project: an optimized crystal structure of LiCuS (PBE-GGA).

Cell: 7.527 3.954 6.586 Å, 90.00 90.00 90.00°
Space group Pnma (No. 62)
Symmetry-distinct sites (fractional):
1 Li 0.054 0.250 0.190 [4 per cell]
2 Cu 0.238 0.250 0.831 [4 per cell]
3 S 0.231 0.750 0.992 [4 per cell]

Values from the calculation:
calculated volume: 196 Å³/cell
total energy after the MP2020 corrections: -50.821 eV/cell
crystal system: orthorhombic
calculated density: 3.5 g cm⁻³
energy relative to the elements: -854 meV per atom

Entry from the Materials Project: an optimized crystal structure of Mg14VZn (PBE-GGA).

Cell: 6.2954 6.2954 10.0896 Å, 90.00 90.00 120.00°
Space group P-6m2 (No. 187)
Symmetry-distinct sites (fractional):
1 Mg 0.0000 0.0000 0.2497 [2 per cell]
2 Mg 0.0077 0.5039 0.2503 [6 per cell]
3 Mg 0.3322 0.1661 0.0000 [3 per cell]
4 Mg 0.3354 0.1677 0.5000 [3 per cell]
5 V 0.3333 0.6667 0.5000 [1 per cell]
6 Zn 0.3333 0.6667 0.0000 [1 per cell]

Values from the calculation:
energy above the most stable polymorph in this dataset: 0.0 kJ/mol of atoms
calculated volume: 346 Å³/cell
crystal system: hexagonal
calculated density: 2.2 g cm⁻³
energy relative to the elements: 71 meV per atom

Entry from the Materials Project: an optimized crystal structure of V5Bi3 (PBE-GGA).

Cell: 10.459 8.323 7.266 Å, 90.00 90.00 90.00°
Space group Pnma (No. 62)
Symmetry-distinct sites (fractional):
1 V 0.028 0.250 0.021 [4 per cell]
2 V 0.074 0.083 0.737 [8 per cell]
3 V 0.235 0.250 0.877 [4 per cell]
4 V 0.248 0.750 0.781 [4 per cell]
5 Bi 0.014 0.750 0.578 [4 per cell]
6 Bi 0.174 0.537 0.087 [8 per cell]

Values from the calculation:
energy above the most stable polymorph in this dataset: 0.0 kJ/mol of atoms
calculated volume: 632 Å³/cell
crystal system: orthorhombic
calculated density: 9.3 g cm⁻³
energy relative to the elements: 323 meV per atom

Entry from the Materials Project: an optimized crystal structure of Ca2Al4Si8O33 (PBE-GGA).

Cell: 14.996 13.305 7.418 Å, 90.00 112.08 90.00°
Space group C2/m (No. 12)
Symmetry-distinct sites (fractional):
1 Ca 0.242 0.000 0.273 [4 per cell]
2 Al 0.130 0.307 0.730 [8 per cell]
3 Si 0.077 0.383 0.309 [8 per cell]
4 Si 0.239 0.384 0.158 [8 per cell]
5 O 0.000 0.000 0.500 [2 per cell]
6 O 0.000 0.137 0.000 [4 per cell]
7 O 0.016 0.314 0.736 [8 per cell]
8 O 0.046 0.500 0.245 [4 per cell]
9 O 0.074 0.000 0.015 [4 per cell]
10 O 0.130 0.118 0.367 [8 per cell]
11 O 0.144 0.343 0.193 [8 per cell]
12 O 0.144 0.382 0.543 [8 per cell]
13 O 0.167 0.183 0.721 [8 per cell]
14 O 0.217 0.377 0.924 [8 per cell]
15 O 0.238 0.000 0.766 [4 per cell]

Values from the calculation:
energy above the most stable polymorph in this dataset: 0.0 kJ/mol of atoms
calculated volume: 1372 Å³/cell
total energy after the MP2020 corrections: -672.623 eV/cell
crystal system: monoclinic
calculated density: 2.3 g cm⁻³
energy relative to the elements: -2354 meV per atom

Entry from the Materials Project: an optimized crystal structure of Dy2MgS4 (PBE-GGA).

Cell: 12.663 7.565 12.789 Å, 90.00 90.00 90.00°
Space group Pca2_1 (No. 29)
Symmetry-distinct sites (fractional):
1 Dy 0.109 0.117 0.000 [4 per cell]
2 Dy 0.128 0.618 0.359 [4 per cell]
3 Dy 0.133 0.371 0.693 [4 per cell]
4 Dy 0.134 0.871 0.694 [4 per cell]
5 Mg 0.110 0.619 0.994 [4 per cell]
6 Mg 0.126 0.122 0.364 [4 per cell]
7 S 0.013 0.122 0.808 [4 per cell]
8 S 0.022 0.627 0.816 [4 per cell]
9 S 0.033 0.623 0.555 [4 per cell]
10 S 0.042 0.127 0.548 [4 per cell]
11 S 0.212 0.121 0.184 [4 per cell]
12 S 0.213 0.620 0.166 [4 per cell]
13 S 0.231 0.368 0.908 [4 per cell]
14 S 0.232 0.871 0.909 [4 per cell]

Values from the calculation:
energy above the most stable polymorph in this dataset: 0.9 kJ/mol of atoms
calculated volume: 1225 Å³/cell
total energy after the MP2020 corrections: -339.806 eV/cell
crystal system: orthorhombic
calculated density: 5.2 g cm⁻³
energy relative to the elements: -2159 meV per atom

Entry from the Materials Project: an optimized crystal structure of SrCu9Sn4 (PBE-GGA).

Cell: 8.696 8.696 12.585 Å, 90.00 90.00 90.00°
Space group I4/mcm (No. 140)
Symmetry-distinct sites (fractional):
1 Sr 0.000 0.000 0.250 [4 per cell]
2 Cu 0.000 0.500 0.000 [4 per cell]
3 Cu 0.056 0.203 0.000 [16 per cell]
4 Cu 0.109 0.391 0.175 [16 per cell]
5 Sn 0.184 0.316 0.375 [16 per cell]

Values from the calculation:
calculated volume: 952 Å³/cell
crystal system: tetragonal
calculated density: 7.9 g cm⁻³
energy relative to the elements: -137 meV per atom

Entry from the Materials Project: an optimized crystal structure of Ba7Ge39 (PBE-GGA).

Cell: 29.727 11.386 13.108 Å, 90.00 90.00 90.00°
Space group Cmc2_1 (No. 36)
Symmetry-distinct sites (fractional):
1 Ba 0.000 0.212 0.000 [4 per cell]
2 Ba 0.071 0.288 0.512 [8 per cell]
3 Ba 0.142 0.208 0.023 [8 per cell]
4 Ba 0.214 0.294 0.507 [8 per cell]
5 Ge 0.000 0.066 0.608 [4 per cell]
6 Ge 0.000 0.081 0.407 [4 per cell]
7 Ge 0.000 0.250 0.729 [4 per cell]
8 Ge 0.000 0.452 0.353 [4 per cell]
9 Ge 0.000 0.469 0.671 [4 per cell]
10 Ge 0.058 0.251 0.235 [8 per cell]
11 Ge 0.071 0.428 0.910 [8 per cell]
12 Ge 0.072 0.033 0.170 [8 per cell]
13 Ge 0.072 0.033 0.853 [8 per cell]
14 Ge 0.072 0.429 0.110 [8 per cell]
15 Ge 0.086 0.250 0.788 [8 per cell]
16 Ge 0.141 0.251 0.297 [8 per cell]
17 Ge 0.143 0.069 0.415 [8 per cell]
18 Ge 0.143 0.454 0.669 [8 per cell]
19 Ge 0.143 0.470 0.351 [8 per cell]
20 Ge 0.144 0.083 0.615 [8 per cell]
21 Ge 0.191 0.252 0.781 [8 per cell]
22 Ge 0.214 0.038 0.853 [8 per cell]
23 Ge 0.214 0.424 0.910 [8 per cell]
24 Ge 0.214 0.429 0.111 [8 per cell]
25 Ge 0.215 0.032 0.171 [8 per cell]
26 Ge 0.223 0.250 0.228 [8 per cell]

Values from the calculation:
calculated volume: 4437 Å³/cell
crystal system: orthorhombic
calculated density: 5.7 g cm⁻³
energy relative to the elements: -192 meV per atom

Entry from the Materials Project: an optimized crystal structure of HoLuZn2 (PBE-GGA).

Cell: 7.049 7.049 7.049 Å, 90.00 90.00 90.00°
Space group Fm-3m (No. 225)
Symmetry-distinct sites (fractional):
1 Ho 0.000 0.000 0.000 [4 per cell]
2 Lu 0.000 0.000 0.500 [4 per cell]
3 Zn 0.250 0.250 0.250 [8 per cell]

Values from the calculation:
calculated volume: 350 Å³/cell
crystal system: cubic
calculated density: 8.9 g cm⁻³
energy relative to the elements: -355 meV per atom

Entry from the Materials Project: an optimized crystal structure of V2Co9W (PBE-GGA).

Cell: 5.0144 5.0144 18.2511 Å, 90.00 90.00 120.00°
Space group R3m (No. 160, hexagonal axes)
Symmetry-distinct sites (fractional):
1 V 0.0000 0.0000 0.0000 [3 per cell]
2 V 0.0000 0.0000 0.2178 [3 per cell]
3 Co 0.0035 0.5017 0.9990 [9 per cell]
4 Co 0.0104 0.5052 0.2233 [9 per cell]
5 Co 0.1708 0.3416 0.1105 [9 per cell]
6 W 0.0000 0.0000 0.7804 [3 per cell]

Values from the calculation:
calculated volume: 397 Å³/cell
crystal system: trigonal
calculated density: 10.2 g cm⁻³
energy relative to the elements: -135 meV per atom

Look up the energy relative to the elements of the fifth one.
-2354 meV per atom